<w>
# ZnSb2O4 PBE-GGA optimized geometry
# Symmetry: R3m (160)
data_ZnSb2O4
_symmetry_space_group_name_H-M 'P 1'
_symmetry_Int_Tables_number 1
_symmetry_space_group_name_Hall 'P 1'
_cell_length_a 6.502
_cell_length_b 6.502
_cell_length_c 6.502
_cell_angle_alpha 63.02
_cell_angle_beta 63.02
_cell_angle_gamma 63.02
loop_
_atom_site_label
_atom_site_fract_x
_atom_site_fract_y
_atom_site_fract_z
Zn1 0.000 0.000 0.000
Zn2 0.381 0.381 0.381
Sb1 0.499 0.995 0.995
Sb2 0.602 0.602 0.602
Sb3 0.995 0.499 0.995
Sb4 0.995 0.995 0.499
O1 0.222 0.780 0.780
O2 0.241 0.241 0.241
O3 0.250 0.250 0.766
O4 0.250 0.766 0.250
O5 0.729 0.729 0.729
O6 0.766 0.250 0.250
O7 0.780 0.222 0.780
O8 0.780 0.780 0.222

<x>
# ZnSb2O4 PBE-GGA optimized geometry
# Symmetry: Pbcm (57)
data_ZnSb2O4
_symmetry_space_group_name_H-M 'P 1'
_symmetry_Int_Tables_number 1
_symmetry_space_group_name_Hall 'P 1'
_cell_length_a 3.644
_cell_length_b 10.045
_cell_length_c 11.184
_cell_angle_alpha 90.00
_cell_angle_beta 90.00
_cell_angle_gamma 90.00
loop_
_atom_site_label
_atom_site_fract_x
_atom_site_fract_y
_atom_site_fract_z
Zn1 0.155 0.142 0.250
Zn2 0.155 0.358 0.750
Zn3 0.845 0.642 0.250
Zn4 0.845 0.858 0.750
Sb1 0.415 0.126 0.595
Sb2 0.415 0.126 0.905
Sb3 0.415 0.374 0.095
Sb4 0.415 0.374 0.405
Sb5 0.585 0.626 0.595
Sb6 0.585 0.626 0.905
Sb7 0.585 0.874 0.095
Sb8 0.585 0.874 0.405
O1 0.264 0.750 0.000
O2 0.264 0.750 0.500
O3 0.266 0.037 0.100
O4 0.266 0.037 0.400
O5 0.266 0.463 0.600
O6 0.266 0.463 0.900
O7 0.332 0.741 0.750
O8 0.332 0.759 0.250
O9 0.668 0.241 0.750
O10 0.668 0.259 0.250
O11 0.734 0.537 0.100
O12 0.734 0.537 0.400
O13 0.734 0.963 0.600
O14 0.734 0.963 0.900
O15 0.736 0.250 0.000
O16 0.736 0.250 0.500

<y>
# ZnSb2O4 PBE-GGA optimized geometry
# Symmetry: P1 (1)
data_ZnSb2O4
_symmetry_space_group_name_H-M 'P 1'
_symmetry_Int_Tables_number 1
_symmetry_space_group_name_Hall 'P 1'
_cell_length_a 6.526
_cell_length_b 6.965
_cell_length_c 17.429
_cell_angle_alpha 87.22
_cell_angle_beta 89.93
_cell_angle_gamma 62.25
loop_
_atom_site_label
_atom_site_fract_x
_atom_site_fract_y
_atom_site_fract_z
Zn1 0.000 0.000 0.000
Zn2 0.011 0.974 0.368
Zn3 0.023 0.985 0.587
Zn4 0.273 0.441 0.665
Zn5 0.304 0.380 0.256
Zn6 0.676 0.672 0.952
Sb1 0.002 0.415 0.483
Sb2 0.100 0.244 0.820
Sb3 0.163 0.686 0.875
Sb4 0.319 0.358 0.054
Sb5 0.325 0.831 0.175
Sb6 0.457 0.536 0.500
Sb7 0.546 0.975 0.537
Sb8 0.600 0.794 0.338
Sb9 0.614 0.226 0.801
Sb10 0.655 0.705 0.737
Sb11 0.827 0.345 0.128
Sb12 0.842 0.836 0.174
O1 0.053 0.900 0.250
O2 0.099 0.800 0.101
O3 0.121 0.194 0.052
O4 0.192 0.154 0.567
O5 0.192 0.666 0.578
O6 0.287 0.411 0.943
O7 0.310 0.830 0.934
O8 0.319 0.369 0.450
O9 0.344 0.787 0.412
O10 0.444 0.095 0.297
O11 0.456 0.150 0.718
O12 0.477 0.515 0.205
O13 0.520 0.496 0.728
O14 0.636 0.747 0.623
O15 0.681 0.206 0.050
O16 0.693 0.149 0.573
O17 0.696 0.630 0.069
O18 0.799 0.445 0.871
O19 0.845 0.807 0.401
O20 0.872 0.840 0.933
O21 0.932 0.259 0.405
O22 0.952 0.078 0.770
O23 0.993 0.524 0.209
O24 0.995 0.474 0.728

Result of the stability comparison: <y> is the most stable of them.